Density functional theory data (PBE) for a relaxed Cs2LiPrF6 crystal.

Cell: 6.443 6.443 6.443 Å, 60.00 60.00 60.00°
Atoms (fractional coordinates):
Cs1 0.750 0.750 0.750
Cs2 0.250 0.250 0.250
Li1 0.500 0.500 0.500
Pr1 0.000 0.000 0.000
F1 0.745 0.255 0.255
F2 0.255 0.255 0.745
F3 0.255 0.745 0.745
F4 0.255 0.745 0.255
F5 0.745 0.255 0.745
F6 0.745 0.745 0.255

Computed properties:
VASP energy = -52.3 eV per cell
Energy relative to the elements = -3.512 eV/atom